# 1
Entry from the Materials Project database: crystalline Li4MnO3 at its relaxed geometry (PBE with a Hubbard U).

Lattice parameters (Å, degrees): 5.0983 5.8323 12.9717 96.31 101.23 63.93
Positions (direct):
O (0.6606, 0.8439, 0.1794)
O (0.2936, 0.6980, 0.2911)
O (0.2997, 0.9468, 0.5413)
O (0.6738, 0.5948, 0.9294)
O (0.2996, 0.4469, 0.0413)
O (0.9443, 0.2901, 0.1648)
O (0.9443, 0.7901, 0.6647)
O (0.9303, 0.0399, 0.9144)
O (0.9304, 0.5398, 0.4144)
O (0.6606, 0.3439, 0.6794)
O (0.2935, 0.1979, 0.7910)
O (0.6737, 0.0950, 0.4295)
Li (0.8830, 0.3707, 0.8203)
Li (0.9726, 0.7220, 0.9611)
Li (0.9727, 0.2220, 0.4611)
Li (0.7126, 0.0403, 0.7667)
Li (0.2655, 0.9714, 0.2109)
Li (0.0754, 0.0771, 0.6647)
Li (0.8830, 0.8708, 0.3203)
Li (0.2655, 0.4714, 0.7109)
Li (0.0141, 0.7892, 0.5163)
Li (0.5648, 0.6213, 0.0699)
Li (0.0754, 0.5771, 0.1647)
Li (0.0141, 0.2892, 0.0163)
Li (0.5119, 0.8261, 0.4154)
Li (0.5118, 0.3260, 0.9154)
Li (0.5648, 0.1213, 0.5700)
Li (0.7127, 0.5403, 0.2667)
Mn (0.6329, 0.6539, 0.6223)
Mn (0.3336, 0.9002, 0.8685)
Mn (0.6327, 0.1539, 0.1224)
Mn (0.3336, 0.4001, 0.3687)

* DFT total energy: -174.62 eV per cell



# 2
Entry from the Materials Project database: crystalline Li3Mn8O16 at its relaxed geometry (PBE with a Hubbard U).

Lattice parameters (Å, degrees): 5.9470 5.9470 8.3606 90.00 90.00 90.00
Positions (direct):
Mn (0.2510, 0.0000, 0.1285)
Mn (0.7490, 0.0000, 0.1285)
Mn (0.7509, 0.5000, 0.6230)
Mn (0.5000, 0.2491, 0.3770)
Mn (0.0000, 0.7490, 0.8715)
Mn (0.5000, 0.7509, 0.3770)
Mn (0.2491, 0.5000, 0.6230)
Mn (0.0000, 0.2510, 0.8715)
O (0.2181, 0.0000, 0.8864)
O (0.7262, 0.0000, 0.3645)
O (0.5000, 0.7271, 0.6087)
O (0.5000, 0.7843, 0.1443)
O (0.2157, 0.5000, 0.8557)
O (0.5000, 0.2729, 0.6087)
O (0.7843, 0.5000, 0.8557)
O (0.0000, 0.2738, 0.6355)
O (0.7271, 0.5000, 0.3913)
O (0.5000, 0.2157, 0.1443)
O (0.2738, 0.0000, 0.3645)
O (0.0000, 0.7819, 0.1136)
O (0.0000, 0.2181, 0.1136)
O (0.7819, 0.0000, 0.8864)
O (0.0000, 0.7262, 0.6355)
O (0.2729, 0.5000, 0.3913)
Li (0.5000, 0.0000, 0.7507)
Li (0.0000, 0.5000, 0.2493)
Li (0.0000, 0.0000, 0.5000)

* DFT total energy: -187.16 eV per cell
* space-group type: P-4m2 (115)



# 3
Entry from the Materials Project database: crystalline LiMn3O4 at its relaxed geometry (PBE with a Hubbard U).

Lattice parameters (Å, degrees): 5.3514 6.2884 5.3515 90.79 107.88 90.79
Positions (direct):
Li (0.4928, 0.7395, 0.9928)
Li (0.4930, 0.2397, 0.9930)
O (0.7661, 0.0451, 0.2661)
O (0.2319, 0.7494, 0.2686)
O (0.2425, 0.4649, 0.7424)
O (0.7661, 0.5451, 0.2661)
O (0.2424, 0.9649, 0.7424)
O (0.2319, 0.2494, 0.2686)
O (0.7686, 0.7494, 0.7319)
O (0.7686, 0.2493, 0.7320)
Mn (0.9982, 0.9969, 0.9995)
Mn (0.9983, 0.4969, 0.9996)
Mn (0.4996, 0.4969, 0.4984)
Mn (0.0002, 0.7579, 0.5002)
Mn (0.0003, 0.2579, 0.5003)
Mn (0.4996, 0.9969, 0.4982)

* DFT total energy: -115.57 eV per cell



Question: What is the DFT total energy in the second record?
Answer: -187.16 eV per cell



Question: Which formula does entry 3 have?
Answer: LiMn3O4



Question: What is the DFT total energy in the first record?
Answer: -174.62 eV per cell



Question: The lowest DFT total energy belongs to which entry?
Answer: Li3Mn8O16